1.
Below is a geometry-optimized Ba2GeO4 structure, with properties calculated at the r2SCAN level.

```
56
Lattice="6.039 0.000 0.000 0.000 10.480 0.000 0.000 0.000 15.267" Properties=species:S:1:pos:R:3 pbc="T T T"
Ba 4.443 8.242 0.706
Ba 4.394 4.249 1.916
Ba 1.417 0.130 1.910
Ba 1.391 6.564 3.103
Ba 4.411 1.324 4.531
Ba 4.437 5.370 5.724
Ba 1.375 9.489 5.717
Ba 1.424 3.002 6.928
Ba 4.615 8.242 8.339
Ba 4.664 4.249 9.550
Ba 1.602 0.130 9.543
Ba 1.628 6.564 10.737
Ba 4.648 1.324 12.164
Ba 4.622 5.370 13.357
Ba 1.645 9.489 13.351
Ba 1.595 3.002 14.562
Ge 4.594 1.341 0.230
Ge 1.448 3.056 3.600
Ge 4.468 8.296 4.033
Ge 1.574 6.580 7.403
Ge 4.465 1.341 7.864
Ge 1.571 3.056 11.234
Ge 4.591 8.296 11.667
Ge 1.445 6.580 15.037
O 3.163 0.427 15.044
O 6.039 5.848 0.482
O 1.604 8.177 0.544
O 1.706 2.933 1.871
O 4.789 1.458 1.968
O 4.171 6.723 3.250
O 5.970 8.882 3.303
O 3.150 9.383 3.613
O 0.131 4.144 4.020
O 2.951 3.642 4.330
O 1.151 1.484 4.383
O 1.769 6.697 5.666
O 4.726 8.173 5.763
O 4.624 2.937 7.090
O 3.019 0.608 7.151
O 0.144 5.667 7.857
O 5.895 0.427 7.410
O 3.020 5.848 8.116
O 1.415 8.177 8.178
O 1.313 2.933 9.504
O 4.270 1.458 9.601
O 4.888 6.723 10.884
O 3.088 8.882 10.937
O 5.908 9.383 11.247
O 2.889 4.144 11.654
O 0.069 3.642 11.964
O 1.868 1.484 12.017
O 1.250 6.697 13.300
O 4.333 8.173 13.396
O 4.435 2.937 14.723
O 0.000 0.608 14.785
O 2.876 5.667 0.223
```

Values from the calculation:
Crystal system: orthorhombic
Energy of formation from the pure elements: -2.677 eV per atom
Magnetic moment: 0.00 μB per atom

2.
Below is a geometry-optimized BaGe4O9 structure, with properties calculated at the r2SCAN level.

```
42
Lattice="-9.540 4.603 4.904 2.104 -11.442 0.943 2.440 0.780 4.016" Properties=species:S:1:pos:R:3 pbc="T T T"
Ba -2.469 -2.271 1.942
Ba -8.134 -3.039 5.534
Ba -6.372 3.075 3.275
Ge 0.000 0.000 0.000
Ge -5.417 -0.668 3.981
Ge 0.421 -5.391 5.881
Ge -4.885 -5.226 6.808
Ge 1.597 -1.657 2.177
Ge 1.617 -10.229 3.828
Ge -2.893 0.987 4.901
Ge -5.959 0.513 6.856
Ge -3.803 -2.355 6.103
Ge -0.430 -7.854 4.102
Ge -2.496 -4.903 4.785
Ge 0.595 -4.566 2.841
O -2.631 -3.152 5.036
O 2.235 -5.127 2.462
O -1.275 -8.833 5.315
O -3.152 1.328 6.591
O -4.803 -0.265 7.904
O -2.629 -1.257 6.775
O -1.896 -7.362 3.299
O -2.326 -4.765 3.056
O -0.181 -5.858 1.964
O -3.557 -0.398 4.066
O -5.710 0.779 5.146
O -5.340 -1.860 5.434
O 0.814 -6.748 4.639
O -1.410 -5.813 5.809
O 0.219 -4.138 4.494
O 1.345 -0.733 3.647
O -4.256 -6.214 8.115
O 3.180 -9.545 4.243
O -6.576 -5.213 6.336
O -7.991 3.654 5.475
O -0.688 -0.128 1.771
O 0.372 -2.962 2.098
O -4.029 -5.656 5.295
O 0.592 -8.940 3.125
O -4.402 -3.564 7.268
O -6.339 2.189 7.329
O -1.179 0.754 4.472
```

Values from the calculation:
Crystal system: trigonal
Energy of formation from the pure elements: -2.097 eV per atom
Magnetic moment: 0.00 μB per atom

3.
Below is a geometry-optimized Ba2GeO4 structure, with properties calculated at the r2SCAN level.

```
28
Lattice="-1.905 0.697 -7.377 -1.568 -5.823 -0.145 -11.229 -2.853 2.629" Properties=species:S:1:pos:R:3 pbc="T T T"
Ba -6.038 -2.867 -6.634
Ba -2.782 -0.687 -6.040
Ba -8.041 -2.244 -3.346
Ba -10.706 -4.640 -1.655
Ba -3.995 -3.339 -3.239
Ba -6.661 -5.735 -1.548
Ba -11.919 -7.292 1.146
Ba -8.664 -5.112 1.741
Ge -7.501 -5.519 -4.763
Ge -13.006 -6.986 -3.026
Ge -1.695 -0.993 -1.867
Ge -7.201 -2.460 -0.130
O -8.652 -2.107 -5.850
O -12.220 -5.649 -3.878
O -3.516 -3.872 -5.948
O -11.006 -2.709 -3.601
O -5.278 -1.323 -4.479
O -8.872 -5.394 -3.631
O -6.342 -4.319 -4.174
O -2.109 -1.019 -3.569
O -12.592 -6.960 -1.324
O -8.359 -3.660 -0.719
O -5.830 -2.586 -1.262
O -9.423 -6.656 -0.414
O -3.696 -5.270 -1.293
O -11.186 -4.107 1.055
O -2.482 -2.330 -1.015
O -6.049 -5.873 0.957
```

Values from the calculation:
Crystal system: monoclinic
Energy of formation from the pure elements: -2.677 eV per atom
Magnetic moment: 0.00 μB per atom

4.
Below is a geometry-optimized BaGeS6O21 structure, with properties calculated at the r2SCAN level.

```
116
Lattice="-2.788 -6.282 3.192 6.844 2.439 10.778 -13.018 8.947 6.241" Properties=species:S:1:pos:R:3 pbc="T T T"
Ba -3.413 3.966 9.316
Ba -10.107 8.369 12.152
Ba -2.124 2.363 16.281
Ba -2.279 -4.491 2.672
Ge 1.523 2.356 10.527
Ge -8.625 5.569 7.864
Ge -7.082 3.924 15.095
Ge -3.740 -1.642 6.935
S 4.346 1.689 11.538
S -8.162 3.978 5.278
S -9.861 4.690 14.034
S -4.246 -0.149 9.572
S -0.335 1.836 8.161
S -7.197 6.385 10.437
S -5.311 4.248 17.560
S -5.080 -2.262 4.263
S 4.041 2.351 8.788
S -7.200 2.864 7.714
S -8.383 6.673 15.440
S -6.381 -1.680 8.480
S -0.972 2.337 12.328
S -10.061 8.289 7.948
S -5.832 1.138 14.719
S -1.059 -1.557 5.427
S 0.100 4.871 11.596
S -11.506 6.013 8.860
S -4.841 3.252 13.090
S -1.676 -3.928 6.876
S 0.772 -0.479 9.374
S -8.605 0.708 11.223
S -5.118 9.492 14.859
S -4.972 0.486 4.965
O -1.664 2.225 7.848
O -7.567 7.163 11.564
O -10.851 1.363 7.124
O 2.159 -0.544 13.885
O 0.157 2.710 9.298
O -8.457 6.038 9.668
O -5.489 4.083 16.064
O -4.135 -2.624 5.392
O 2.794 3.010 9.311
O -8.245 3.780 8.290
O -7.233 5.794 15.029
O -5.239 -2.377 7.793
O 2.900 2.072 11.763
O -8.850 5.062 6.077
O -8.643 3.795 14.069
O -3.330 -0.721 8.513
O 0.326 1.730 11.854
O -9.076 7.327 7.327
O -7.002 2.033 15.046
O -2.171 -0.883 6.194
O -0.530 0.401 8.915
O -6.497 7.472 9.441
O -6.278 3.066 18.137
O -4.619 -0.731 3.930
O -1.329 1.767 13.573
O -13.152 3.030 10.211
O -3.517 6.120 11.232
O 0.074 -0.710 5.405
O 4.384 1.265 9.971
O -6.930 3.528 6.236
O -9.662 5.649 15.329
O -5.716 -0.235 8.885
O -1.940 2.406 11.291
O -9.701 8.638 9.276
O -4.763 1.297 15.640
O -1.520 -2.134 4.214
O 2.319 -2.998 11.936
O -7.743 1.571 7.506
O -8.577 7.703 14.487
O -3.923 3.932 6.493
O 1.712 0.579 9.914
O -6.812 5.969 7.518
O -8.113 3.802 16.673
O -4.710 -0.144 6.317
O 3.797 1.530 7.662
O -5.946 2.991 8.355
O -8.356 7.003 16.816
O -7.418 -1.316 7.589
O 1.329 4.121 11.147
O -10.433 5.180 8.205
O -6.056 4.034 13.522
O -2.763 -3.128 7.548
O -0.540 3.856 12.716
O -11.430 7.415 8.010
O -5.340 1.699 13.274
O -0.613 -2.763 6.422
O 4.641 0.483 12.213
O -7.517 4.537 4.153
O -11.020 3.947 14.349
O -4.027 1.240 9.707
O 5.208 2.808 11.709
O -9.010 2.850 5.101
O -9.860 5.516 12.875
O -4.260 -0.965 10.736
O 0.482 5.980 12.377
O -12.775 5.513 8.504
O -4.686 3.355 11.694
O -0.945 -4.640 7.848
O -0.861 5.039 10.563
O -11.229 6.314 10.220
O -3.718 3.450 13.936
O -2.116 -4.596 5.703
O 1.357 -1.040 8.201
O -7.389 0.031 11.533
O -5.524 10.458 15.827
O -6.368 0.759 4.861
O 0.637 1.674 7.150
O -6.327 5.280 10.565
O -5.805 5.488 18.024
O -6.429 -2.234 4.683
O 0.251 -1.334 10.362
O -8.562 1.891 10.464
O -5.566 8.164 14.981
O -4.046 1.486 4.615
```

Values from the calculation:
Crystal system: orthorhombic
Energy of formation from the pure elements: -1.551 eV per atom
Magnetic moment: 0.00 μB per atom

5.
Below is a geometry-optimized BaGe3Pt structure, with properties calculated at the r2SCAN level.

```
5
Lattice="-2.121 -4.072 -0.277 3.971 -2.128 0.926 -1.986 3.313 4.706" Properties=species:S:1:pos:R:3 pbc="T T T"
Ba 0.000 0.000 0.002
Ge -1.598 -1.927 2.416
Ge 1.445 -0.956 3.017
Ge -0.847 0.169 4.016
Pt 0.609 -3.036 1.819
```

Values from the calculation:
Crystal system: tetragonal
Energy of formation from the pure elements: -0.651 eV per atom
Magnetic moment: 0.00 μB per atom

6.
Below is a geometry-optimized BaGe2Ru2 structure, with properties calculated at the r2SCAN level.

```
10
Lattice="-4.814 -0.521 -3.899 0.796 -4.583 4.124 -1.654 5.617 4.000" Properties=species:S:1:pos:R:3 pbc="T T T"
Ba -4.526 0.375 -1.896
Ba -1.146 0.137 6.121
Ge -0.734 -2.371 3.528
Ge -2.709 -0.941 0.703
Ge -4.938 2.884 0.697
Ge -2.963 1.453 3.523
Ru -0.813 -2.416 1.095
Ru -2.630 -0.896 3.136
Ru -3.042 1.408 1.090
Ru -4.859 2.929 3.130
```

Values from the calculation:
Crystal system: orthorhombic
Energy of formation from the pure elements: -0.515 eV per atom
Magnetic moment: 0.00 μB per atom

What is the magnetic moment in the second record?
0.00 μB per atom